LiCoPO4 | PBE+U | optimized geometry

Calculated values
energy relative to the lowest polymorph listed for this composition: 0.49 eV per formula unit
symmetry: P2_1/c, No. 14
crystal system: monoclinic

The structure in POSCAR format:
```
LiCoPO4
1.0
10.701 0.000 0.000
0.000 5.707 0.000
0.000 0.293 9.906
P Co O Li
8 8 32 8
direct
0.359 0.873 0.909 P
0.394 0.376 0.338 P
0.859 0.127 0.591 P
0.641 0.127 0.091 P
0.141 0.873 0.409 P
0.106 0.376 0.838 P
0.606 0.624 0.662 P
0.894 0.624 0.162 P
0.901 0.117 0.265 Co
0.599 0.117 0.765 Co
0.628 0.651 0.993 Co
0.099 0.883 0.735 Co
0.401 0.883 0.235 Co
0.372 0.349 0.007 Co
0.872 0.651 0.493 Co
0.128 0.349 0.507 Co
0.476 0.150 0.349 O
0.444 0.654 0.925 O
0.212 0.913 0.543 O
0.308 0.367 0.209 O
0.944 0.346 0.575 O
0.187 0.388 0.969 O
0.063 0.099 0.378 O
0.773 0.166 0.712 O
0.982 0.407 0.171 O
0.692 0.633 0.791 O
0.024 0.150 0.849 O
0.712 0.087 0.957 O
0.813 0.612 0.031 O
0.518 0.407 0.671 O
0.687 0.612 0.531 O
0.273 0.834 0.788 O
0.563 0.901 0.122 O
0.313 0.388 0.469 O
0.727 0.166 0.212 O
0.808 0.633 0.291 O
0.482 0.593 0.329 O
0.524 0.850 0.651 O
0.976 0.850 0.151 O
0.437 0.099 0.878 O
0.288 0.913 0.043 O
0.788 0.087 0.457 O
0.227 0.834 0.288 O
0.018 0.593 0.829 O
0.056 0.654 0.425 O
0.192 0.367 0.709 O
0.937 0.901 0.622 O
0.556 0.346 0.075 O
0.661 0.388 0.359 Li
0.839 0.388 0.859 Li
0.356 0.127 0.616 Li
0.644 0.873 0.384 Li
0.161 0.612 0.141 Li
0.856 0.873 0.884 Li
0.339 0.612 0.641 Li
0.144 0.127 0.116 Li
```

Li4Mn3Fe5O16 | PBE+U | optimized geometry

Calculated values
symmetry: Cm, No. 8
crystal system: monoclinic
final energy: -6.47 eV/atom

The structure in POSCAR format:
```
Li4Mn3Fe5O16
1.0
2.925 5.069 0.000
-2.925 5.069 0.000
0.000 0.032 9.540
O Fe Li Mn
16 5 4 3
direct
0.163 0.163 0.098 O
0.672 0.672 0.103 O
0.838 0.322 0.604 O
0.039 0.484 0.833 O
0.839 0.839 0.604 O
0.518 0.518 0.341 O
0.672 0.156 0.101 O
0.156 0.672 0.101 O
0.964 0.527 0.338 O
0.997 0.997 0.809 O
0.322 0.838 0.604 O
0.484 0.039 0.833 O
0.527 0.964 0.338 O
0.994 0.994 0.311 O
0.482 0.482 0.834 O
0.338 0.338 0.609 O
0.830 0.339 0.215 Fe
0.339 0.830 0.215 Fe
0.170 0.170 0.714 Fe
0.664 0.664 0.493 Fe
0.331 0.331 0.989 Fe
0.998 0.998 0.996 Li
0.001 0.001 0.498 Li
0.334 0.334 0.393 Li
0.669 0.669 0.891 Li
0.830 0.830 0.215 Mn
0.169 0.662 0.715 Mn
0.662 0.169 0.715 Mn
```

BaCaSmMnO6 | PBE+U | optimized geometry

Calculated values
symmetry: F-43m, No. 216
crystal system: cubic
final energy: -6.87 eV/atom

The structure in POSCAR format:
```
BaCaSmMnO6
1.0
-5.808 0.754 0.746
-3.747 -1.479 -4.316
-3.528 -4.691 0.633
Ca O Mn Sm Ba
1 6 1 1 1
direct
0.750 0.750 0.750 Ca
0.771 0.229 0.229 O
0.229 0.771 0.229 O
0.229 0.229 0.771 O
0.229 0.771 0.771 O
0.771 0.229 0.771 O
0.771 0.771 0.229 O
0.000 0.000 0.000 Mn
0.500 0.500 0.500 Sm
0.250 0.250 0.250 Ba
```

Ho2WO6 | PBE+U | optimized geometry

Calculated values
energy relative to the lowest polymorph listed for this composition: 0.04 eV per formula unit
symmetry: P2_12_12_1, No. 19
crystal system: orthorhombic

The structure in POSCAR format:
```
Ho2WO6
1.0
5.265 0.000 0.000
0.000 9.120 0.000
0.000 0.000 9.976
O Ho W
24 8 4
direct
0.251 0.090 0.506 O
0.732 0.115 0.567 O
0.768 0.885 0.067 O
0.914 0.157 0.030 O
0.586 0.843 0.530 O
0.268 0.615 0.933 O
0.823 0.047 0.299 O
0.751 0.410 0.494 O
0.232 0.385 0.433 O
0.306 0.141 0.765 O
0.086 0.657 0.470 O
0.806 0.359 0.235 O
0.677 0.953 0.799 O
0.694 0.641 0.735 O
0.194 0.859 0.265 O
0.820 0.361 0.819 O
0.180 0.861 0.681 O
0.323 0.453 0.701 O
0.320 0.139 0.181 O
0.177 0.547 0.201 O
0.249 0.910 0.006 O
0.680 0.639 0.319 O
0.414 0.343 0.970 O
0.749 0.590 0.994 O
0.462 0.719 0.128 Ho
0.980 0.897 0.465 Ho
0.538 0.219 0.372 Ho
0.480 0.603 0.535 Ho
0.962 0.781 0.872 Ho
0.038 0.281 0.628 Ho
0.020 0.397 0.035 Ho
0.520 0.103 0.965 Ho
0.961 0.505 0.348 W
0.039 0.005 0.152 W
0.539 0.495 0.848 W
0.461 0.995 0.652 W
```

Y2MnCrO6 | PBE+U | optimized geometry

Calculated values
energy relative to the lowest polymorph listed for this composition: 0.17 eV per formula unit
symmetry: P2_1/c, No. 14
crystal system: monoclinic

The structure in POSCAR format:
```
Y2MnCrO6
1.0
5.741 0.000 0.000
0.000 5.369 0.000
0.000 5.320 7.487
O Cr Mn Y
12 2 2 4
direct
0.684 0.743 0.060 O
0.459 0.869 0.745 O
0.316 0.257 0.940 O
0.194 0.636 0.054 O
0.694 0.364 0.446 O
0.306 0.636 0.554 O
0.806 0.364 0.946 O
0.041 0.869 0.245 O
0.959 0.131 0.755 O
0.184 0.257 0.440 O
0.816 0.743 0.560 O
0.541 0.131 0.255 O
0.000 0.500 0.500 Cr
0.500 0.500 0.000 Cr
0.500 0.000 0.500 Mn
0.000 0.000 0.000 Mn
0.074 0.730 0.751 Y
0.426 0.730 0.251 Y
0.574 0.270 0.749 Y
0.926 0.270 0.249 Y
```

V2Bi24O41 | PBE+U | optimized geometry

Calculated values
symmetry: P222, No. 16
crystal system: orthorhombic
final energy: -5.95 eV/atom

The structure in POSCAR format:
```
V2Bi24O41
1.0
10.352 0.000 0.000
0.000 10.355 0.000
0.000 0.000 10.444
O Bi V
41 24 2
direct
0.757 0.131 0.496 O
0.701 0.697 0.299 O
0.747 0.632 0.008 O
0.867 0.493 0.242 O
0.747 0.368 0.992 O
0.000 0.500 0.500 O
0.098 0.901 0.905 O
0.200 0.199 0.801 O
0.243 0.869 0.496 O
0.597 0.403 0.401 O
0.507 0.753 0.869 O
0.098 0.099 0.095 O
0.867 0.507 0.758 O
0.004 0.754 0.631 O
0.133 0.493 0.758 O
0.597 0.597 0.599 O
0.757 0.869 0.504 O
0.902 0.099 0.905 O
0.299 0.303 0.299 O
0.507 0.247 0.131 O
0.631 0.992 0.253 O
0.996 0.246 0.631 O
0.493 0.753 0.131 O
0.299 0.697 0.701 O
0.996 0.754 0.369 O
0.253 0.632 0.992 O
0.253 0.368 0.008 O
0.701 0.303 0.701 O
0.403 0.597 0.401 O
0.004 0.246 0.369 O
0.133 0.507 0.242 O
0.493 0.247 0.869 O
0.369 0.992 0.747 O
0.902 0.901 0.095 O
0.369 0.008 0.253 O
0.243 0.131 0.504 O
0.403 0.403 0.599 O
0.200 0.801 0.199 O
0.631 0.008 0.747 O
0.800 0.199 0.199 O
0.800 0.801 0.801 O
0.977 0.321 0.180 Bi
0.526 0.181 0.678 Bi
0.023 0.679 0.180 Bi
0.023 0.321 0.820 Bi
0.180 0.980 0.330 Bi
0.165 0.667 0.518 Bi
0.679 0.178 0.025 Bi
0.324 0.525 0.823 Bi
0.474 0.819 0.678 Bi
0.676 0.475 0.823 Bi
0.180 0.020 0.670 Bi
0.679 0.822 0.975 Bi
0.526 0.819 0.322 Bi
0.820 0.020 0.330 Bi
0.977 0.679 0.820 Bi
0.835 0.333 0.518 Bi
0.321 0.822 0.025 Bi
0.820 0.980 0.670 Bi
0.321 0.178 0.975 Bi
0.474 0.181 0.322 Bi
0.835 0.667 0.482 Bi
0.324 0.475 0.177 Bi
0.676 0.525 0.177 Bi
0.165 0.333 0.482 Bi
0.500 0.500 0.500 V
0.000 0.000 0.000 V
```

CaWF6 | PBE+U | optimized geometry

Calculated values
symmetry: R-3, No. 148
crystal system: trigonal
final energy: -5.77 eV/atom

The structure in POSCAR format:
```
CaWF6
1.0
5.327 -2.869 0.000
5.327 2.869 0.000
3.781 0.000 4.723
F W Ca
6 1 1
direct
0.326 0.142 0.771 F
0.771 0.326 0.142 F
0.674 0.858 0.229 F
0.229 0.674 0.858 F
0.858 0.229 0.674 F
0.142 0.771 0.326 F
0.000 0.000 0.000 W
0.500 0.500 0.500 Ca
```

Li9Mn2Co5O16 | PBE+U | optimized geometry

Calculated values
energy relative to the lowest polymorph listed for this composition: 1.48 eV per formula unit
symmetry: Pm, No. 6
crystal system: monoclinic

The structure in POSCAR format:
```
Li9Mn2Co5O16
1.0
-0.736 -0.488 2.761
-8.556 -3.852 -2.961
2.764 -9.779 -0.992
Co Li O Mn
5 9 16 2
direct
0.000 0.509 0.230 Co
0.500 0.995 0.747 Co
0.000 0.995 0.503 Co
0.500 0.005 0.252 Co
0.500 0.499 0.495 Co
0.500 0.746 0.626 Li
0.000 0.745 0.379 Li
0.500 0.496 0.000 Li
0.500 0.261 0.373 Li
0.500 0.261 0.876 Li
0.000 0.271 0.119 Li
0.000 0.250 0.619 Li
0.500 0.740 0.128 Li
0.000 0.731 0.886 Li
0.500 0.114 0.051 O
0.000 0.385 0.440 O
0.000 0.902 0.183 O
0.500 0.388 0.692 O
0.500 0.883 0.439 O
0.000 0.384 0.922 O
0.500 0.114 0.564 O
0.500 0.890 0.948 O
0.500 0.617 0.314 O
0.500 0.383 0.194 O
0.000 0.878 0.687 O
0.000 0.608 0.569 O
0.000 0.625 0.073 O
0.000 0.110 0.309 O
0.000 0.108 0.822 O
0.500 0.610 0.805 O
0.000 0.495 0.758 Mn
0.000 0.004 0.998 Mn
```

Li7Mn5O12 | PBE+U | optimized geometry

Calculated values
energy relative to the lowest polymorph listed for this composition: 0.68 eV per formula unit

The structure in POSCAR format:
```
Li7Mn5O12
1.0
2.631 5.266 -1.255
0.028 -0.234 7.771
8.212 -5.112 -3.147
Li O Mn
14 24 10
direct
0.750 0.007 0.756 Li
0.417 0.660 0.744 Li
0.333 0.333 0.500 Li
0.833 0.333 0.000 Li
0.250 0.007 0.256 Li
0.917 0.660 0.245 Li
0.583 0.333 0.250 Li
0.583 0.333 0.750 Li
0.917 0.663 0.748 Li
0.750 0.003 0.252 Li
0.417 0.663 0.248 Li
0.083 0.333 0.750 Li
0.250 0.003 0.752 Li
0.083 0.333 0.250 Li
0.719 0.828 0.881 O
0.779 0.178 0.621 O
0.112 0.502 0.612 O
0.148 0.491 0.107 O
0.019 0.175 0.393 O
0.648 0.491 0.607 O
0.219 0.827 0.381 O
0.384 0.518 0.388 O
0.456 0.823 0.107 O
0.055 0.165 0.888 O
0.389 0.489 0.879 O
0.947 0.839 0.119 O
0.282 0.149 0.612 O
0.612 0.502 0.112 O
0.782 0.149 0.112 O
0.888 0.489 0.379 O
0.519 0.175 0.893 O
0.555 0.165 0.388 O
0.711 0.843 0.393 O
0.210 0.843 0.893 O
0.448 0.839 0.619 O
0.956 0.823 0.607 O
0.884 0.518 0.888 O
0.278 0.177 0.121 O
0.501 0.005 0.002 Mn
0.333 0.333 0.000 Mn
0.173 0.660 0.496 Mn
0.666 0.662 0.498 Mn
0.833 0.333 0.500 Mn
0.166 0.662 0.998 Mn
0.994 0.007 0.004 Mn
0.001 0.005 0.502 Mn
0.673 0.660 0.996 Mn
0.494 0.007 0.504 Mn
```

KSrSmWO6 | PBE+U | optimized geometry

Calculated values
energy relative to the lowest polymorph listed for this composition: 0.13 eV per formula unit
symmetry: F-43m, No. 216
crystal system: cubic

The structure in POSCAR format:
```
KSrSmWO6
1.0
4.339 4.099 -0.665
-1.091 5.764 1.290
2.514 2.523 4.836
O Sm K Sr W
6 1 1 1 1
direct
0.270 0.270 0.730 O
0.730 0.730 0.270 O
0.270 0.730 0.270 O
0.270 0.730 0.730 O
0.730 0.270 0.730 O
0.730 0.270 0.270 O
0.000 0.000 0.000 Sm
0.750 0.750 0.750 K
0.250 0.250 0.250 Sr
0.500 0.500 0.500 W
```

LiMn3B3O9 | PBE+U | optimized geometry

Calculated values
energy relative to the lowest polymorph listed for this composition: 0.14 eV per formula unit
symmetry: P1, No. 1
crystal system: triclinic

The structure in POSCAR format:
```
LiMn3B3O9
1.0
-1.367 4.774 -3.688
-5.103 1.538 5.586
8.494 1.139 2.932
O Li B Mn
18 2 6 6
direct
0.994 0.820 0.304 O
0.141 0.865 0.973 O
0.842 0.146 0.027 O
0.334 0.156 0.977 O
0.533 0.894 0.776 O
0.457 0.177 0.628 O
0.719 0.833 0.017 O
0.874 0.252 0.460 O
0.202 0.568 0.113 O
0.434 0.114 0.237 O
0.049 0.166 0.688 O
0.519 0.822 0.358 O
0.790 0.521 0.290 O
0.746 0.428 0.892 O
0.611 0.483 0.638 O
0.214 0.475 0.707 O
0.386 0.521 0.365 O
0.117 0.746 0.544 O
0.664 0.334 0.058 Li
0.335 0.004 0.389 Li
0.597 0.361 0.722 B
0.377 0.642 0.277 B
0.298 0.042 0.064 B
0.708 0.961 0.940 B
0.962 0.693 0.377 B
0.051 0.301 0.617 B
0.350 0.605 0.599 Mn
0.300 0.034 0.727 Mn
0.037 0.281 0.937 Mn
0.647 0.400 0.408 Mn
0.968 0.705 0.041 Mn
0.716 0.962 0.270 Mn
```